A plane-wave DFT calculation with PBE+U was carried out for crystalline Mn7CrP12O48 at its relaxed geometry.

Calculated values
* crystal system: triclinic

Cell: 8.4625 8.4969 11.8066 Å, 89.97 89.94 89.91°
Last column: nearest neighbours and their distance in Å.
Sites, in units of the cell vectors:
1 O 0.5609 0.6603 0.4733  1 P 1.52
2 O 0.1424 0.0592 0.5796  1 P 1.53
3 O 0.1602 0.8526 0.4192  1 P 1.54
4 O 0.4015 0.0752 0.8394  1 P 1.55
5 O 0.8605 0.9396 0.4225  1 P 1.53
6 O 0.8585 0.4396 0.0774  1 P 1.53
7 O 0.9393 0.6578 0.5262  1 P 1.52
8 O 0.7779 0.6516 0.3248  1 P 1.53
9 O 0.6579 0.1429 0.4182  1 P 1.54
10 O 0.5995 0.9249 0.1601  1 P 1.55
11 O 0.1413 0.5605 0.9226  1 P 1.53
12 O 0.1592 0.3550 0.0823  1 P 1.55
13 O 0.0137 0.1798 0.7729  1 P 1.55
14 O 0.6439 0.9340 0.5743  1 P 1.53
15 O 0.9868 0.8197 0.2275  1 P 1.55
16 O 0.4087 0.5727 0.6580  1 P 1.55
17 O 0.2207 0.8491 0.8245  1 P 1.53
18 O 0.3579 0.0615 0.4231  1 P 1.53
19 O 0.4417 0.8404 0.9725  1 P 1.52
20 O 0.2789 0.8501 0.1757  1 P 1.53
21 O 0.8400 0.6449 0.9178  1 P 1.54
22 O 0.9398 0.1592 0.9735  1 P 1.52
23 O 0.6025 0.4246 0.3431  1 P 1.55
24 O 0.8979 0.4257 0.6602  1 P 1.55
25 O 0.0998 0.0749 0.1595  1 P 1.55
26 O 0.9861 0.3205 0.2728  1 P 1.54
27 O 0.0118 0.6835 0.7268  1 P 1.54
28 O 0.7211 0.1509 0.8246  1 P 1.54
29 O 0.5606 0.1575 0.0265  1 P 1.52
30 O 0.3410 0.3547 0.9188  1 P 1.55
31 O 0.3450 0.8557 0.5773  1 P 1.54
32 O 0.5083 0.8237 0.7698  1 P 1.55
33 O 0.4381 0.3425 0.5258  1 P 1.52
34 O 0.7214 0.6530 0.6722  1 P 1.53
35 O 0.2203 0.3531 0.6755  1 P 1.53
36 O 0.0998 0.5741 0.3412  1 P 1.55
37 O 0.8392 0.1435 0.5831  1 P 1.54
38 O 0.4850 0.6792 0.2739  1 P 1.55
39 O 0.6412 0.4400 0.9229  1 P 1.53
40 O 0.8995 0.9252 0.8417  1 P 1.55
41 O 0.2785 0.3495 0.3239  1 P 1.54
42 O 0.0599 0.3397 0.4733  1 P 1.52
43 O 0.3584 0.5610 0.0773  1 P 1.53
44 O 0.4865 0.1808 0.2269  1 P 1.55
45 O 0.5142 0.3209 0.7273  1 P 1.54
46 O 0.6593 0.6454 0.0826  1 P 1.54
47 O 0.7789 0.1498 0.1756  1 P 1.53
48 O 0.0608 0.8415 0.0269  1 P 1.52
49 P 0.1081 0.8936 0.1454  4 O 1.52-1.55
50 P 0.8927 0.6066 0.6452  4 O 1.52-1.55
51 P 0.2489 0.9649 0.4996  4 O 1.53-1.54
52 P 0.8918 0.1065 0.8552  4 O 1.52-1.55
53 P 0.3902 0.8948 0.8558  4 O 1.52-1.55
54 P 0.7497 0.5361 0.0004  4 O 1.53-1.54
55 P 0.7508 0.0354 0.4994  4 O 1.53-1.54
56 P 0.3918 0.3919 0.6451  4 O 1.52-1.55
57 P 0.2499 0.4645 0.0003  4 O 1.53-1.55
58 P 0.6083 0.1058 0.1454  4 O 1.52-1.55
59 P 0.6079 0.6058 0.3550  4 O 1.52-1.55
60 P 0.1078 0.3931 0.3549  4 O 1.52-1.55
61 Mn 0.9654 0.2495 0.1181  6 O 1.88-1.93
62 Mn 0.5349 0.2506 0.8828  6 O 1.88-1.94
63 Mn 0.0338 0.7506 0.8825  6 O 1.89-1.93
64 Mn 0.4652 0.7507 0.1186  6 O 1.90-1.94
65 Mn 0.0332 0.2497 0.6185  6 O 1.89-1.94
66 Mn 0.4656 0.2510 0.3813  6 O 1.89-1.93
67 Mn 0.9654 0.7488 0.3822  6 O 1.88-1.93
68 Cr 0.5324 0.7485 0.6192  6 O 1.88-1.91

***

A plane-wave DFT calculation with PBE+U was carried out for crystalline Mn3Cr2SbP6O24 at its relaxed geometry.

Calculated values
* crystal system: trigonal

Cell: 8.5829 8.5829 8.5829 Å, 61.20 61.20 61.20°
Last column: nearest neighbours and their distance in Å.
Sites, in units of the cell vectors:
1 P 0.5504 0.9476 0.2528  4 O 1.50-1.58
2 P 0.9476 0.2528 0.5504  4 O 1.50-1.58
3 P 0.0547 0.7461 0.4554  4 O 1.50-1.65
4 P 0.7461 0.4554 0.0547  4 O 1.50-1.65
5 P 0.4554 0.0547 0.7461  4 O 1.50-1.65
6 P 0.2528 0.5504 0.9476  4 O 1.50-1.58
7 O 0.7464 0.9358 0.0924  1 P 1.57
8 O 0.6836 0.4795 0.9067  1 P 1.50
9 O 0.1787 0.3915 0.9922  1 P 1.58
10 O 0.9067 0.6836 0.4795  1 P 1.50
11 O 0.4326 0.2570 0.5994  1 P 1.56
12 O 0.7491 0.4004 0.5580  1 P 1.55
13 O 0.2570 0.5994 0.4326  1 P 1.56
14 O 0.0144 0.8212 0.6020  1 P 1.51
15 O 0.0684 0.9123 0.2479  1 P 1.65
16 O 0.1003 0.3198 0.5076  1 P 1.50
17 O 0.9922 0.1787 0.3915  1 P 1.58
18 O 0.5076 0.1003 0.3198  1 P 1.50
19 O 0.5580 0.7491 0.4004  1 P 1.55
20 O 0.6020 0.0144 0.8212  1 P 1.51
21 O 0.5994 0.4326 0.2570  1 P 1.56
22 O 0.0924 0.7464 0.9358  1 P 1.57
23 O 0.3198 0.5076 0.1003  1 P 1.50
24 O 0.8212 0.6020 0.0144  1 P 1.51
25 O 0.9358 0.0924 0.7464  1 P 1.57
26 O 0.9123 0.2479 0.0684  1 P 1.65
27 O 0.2479 0.0684 0.9123  1 P 1.65
28 O 0.3915 0.9922 0.1787  1 P 1.58
29 O 0.4004 0.5580 0.7491  1 P 1.55
30 O 0.4795 0.9067 0.6836  1 P 1.50
31 Cr 0.5003 0.5003 0.5003  6 O 2.09-2.10
32 Cr 0.9956 0.9956 0.9956  6 O 2.11-2.23
33 Mn 0.6481 0.6481 0.6481  6 O 2.06-2.24
34 Mn 0.3548 0.3548 0.3548  6 O 2.02-2.16
35 Mn 0.8522 0.8522 0.8522  6 O 1.98-2.14
36 Sb 0.1448 0.1448 0.1448  6 O 1.96-2.05

***

A plane-wave DFT calculation with PBE+U was carried out for crystalline Mn3CrSn2P6O24 at its relaxed geometry.

Calculated values
* crystal system: trigonal

Cell: 8.5951 8.5951 8.5951 Å, 61.53 61.53 61.53°
Last column: nearest neighbours and their distance in Å.
Sites, in units of the cell vectors:
1 O 0.6762 0.4856 0.9040  1 P 1.51
2 O 0.5762 0.7411 0.3986  1 P 1.59
3 O 0.9040 0.6762 0.4856  1 P 1.51
4 O 0.7411 0.3986 0.5762  1 P 1.59
5 O 0.2517 0.0663 0.9051  1 P 1.60
6 O 0.4856 0.9040 0.6762  1 P 1.51
7 O 0.4043 0.9824 0.1784  1 P 1.51
8 O 0.8240 0.6065 0.9998  1 P 1.52
9 O 0.1784 0.4043 0.9824  1 P 1.51
10 O 0.9250 0.0907 0.7572  1 P 1.61
11 O 0.2508 0.6016 0.4370  1 P 1.59
12 O 0.0907 0.7572 0.9250  1 P 1.61
13 O 0.0907 0.3173 0.5247  1 P 1.50
14 O 0.6016 0.4370 0.2508  1 P 1.59
15 O 0.3986 0.5762 0.7411  1 P 1.59
16 O 0.5247 0.0907 0.3173  1 P 1.50
17 O 0.7572 0.9250 0.0907  1 P 1.61
18 O 0.9051 0.2517 0.0663  1 P 1.60
19 O 0.9824 0.1784 0.4043  1 P 1.51
20 O 0.6065 0.9998 0.8240  1 P 1.52
21 O 0.4370 0.2508 0.6016  1 P 1.59
22 O 0.3173 0.5247 0.0907  1 P 1.50
23 O 0.9998 0.8240 0.6065  1 P 1.52
24 O 0.0663 0.9051 0.2517  1 P 1.60
25 P 0.5539 0.9444 0.2487  4 O 1.50-1.61
26 P 0.0474 0.7505 0.4548  4 O 1.51-1.60
27 P 0.4548 0.0474 0.7505  4 O 1.51-1.60
28 P 0.9444 0.2487 0.5539  4 O 1.50-1.61
29 P 0.7505 0.4548 0.0474  4 O 1.51-1.60
30 P 0.2487 0.5539 0.9444  4 O 1.50-1.61
31 Mn 0.1519 0.1519 0.1519  6 O 2.01-2.22
32 Mn 0.6504 0.6504 0.6504  6 O 2.01-2.22
33 Mn 0.3468 0.3468 0.3468  3 O 2.05
34 Sn 0.0023 0.0023 0.0023  6 O 2.14-2.19
35 Sn 0.4992 0.4992 0.4992  6 O 2.11-2.14
36 Cr 0.8545 0.8545 0.8545  6 O 1.96-2.06

***

A plane-wave DFT calculation with PBE+U was carried out for crystalline MnCr3Te2P6O24 at its relaxed geometry.

Calculated values
* crystal system: trigonal

Cell: 8.8614 8.8614 8.8614 Å, 58.65 58.65 58.65°
Last column: nearest neighbours and their distance in Å.
Sites, in units of the cell vectors:
1 O 0.0306 0.5999 0.7988  1 P 1.50
2 O 0.2394 0.4234 0.5814  1 P 1.59
3 O 0.5634 0.4196 0.7677  1 P 1.57
4 O 0.9148 0.0678 0.2558  1 P 1.58
5 O 0.0891 0.9407 0.7410  1 P 1.62
6 O 0.7026 0.8844 0.4893  1 P 1.52
7 O 0.5814 0.2394 0.4234  1 P 1.59
8 O 0.3088 0.1156 0.5056  1 P 1.51
9 O 0.3909 0.1928 0.9938  1 P 1.52
10 O 0.8844 0.4893 0.7026  1 P 1.52
11 O 0.0678 0.2558 0.9148  1 P 1.58
12 O 0.9407 0.7410 0.0891  1 P 1.62
13 O 0.9938 0.3909 0.1928  1 P 1.52
14 O 0.7988 0.0306 0.5999  1 P 1.50
15 O 0.4893 0.7026 0.8844  1 P 1.52
16 O 0.7410 0.0891 0.9407  1 P 1.62
17 O 0.1156 0.5056 0.3088  1 P 1.51
18 O 0.4234 0.5814 0.2394  1 P 1.59
19 O 0.2558 0.9148 0.0678  1 P 1.58
20 O 0.5056 0.3088 0.1156  1 P 1.51
21 O 0.5999 0.7988 0.0306  1 P 1.50
22 O 0.1928 0.9938 0.3909  1 P 1.52
23 O 0.4196 0.7677 0.5634  1 P 1.57
24 O 0.7677 0.5634 0.4196  1 P 1.57
25 P 0.5379 0.2553 0.9626  4 O 1.51-1.62
26 P 0.2553 0.9626 0.5379  4 O 1.51-1.62
27 P 0.7504 0.0451 0.4524  4 O 1.50-1.59
28 P 0.0451 0.4524 0.7504  4 O 1.50-1.59
29 P 0.9626 0.5379 0.2553  4 O 1.51-1.62
30 P 0.4524 0.7504 0.0451  4 O 1.50-1.59
31 Te 0.4973 0.4973 0.4973  6 O 2.34-2.43
32 Te 0.9911 0.9911 0.9911  3 O 2.12
33 Mn 0.8449 0.8449 0.8449  3 O 2.02
34 Cr 0.3530 0.3530 0.3530  6 O 1.94-2.01
35 Cr 0.6478 0.6478 0.6478  6 O 1.97-2.07
36 Cr 0.1449 0.1449 0.1449  6 O 2.01-2.06

***

A plane-wave DFT calculation with PBE+U was carried out for crystalline Mn3CrTe2P6O24 at its relaxed geometry.

Calculated values
* crystal system: trigonal

Cell: 8.7828 8.7828 8.7828 Å, 60.29 60.29 60.29°
Last column: nearest neighbours and their distance in Å.
Sites, in units of the cell vectors:
1 O 0.9058 0.6924 0.4742  1 P 1.51
2 O 0.5149 0.0996 0.3164  1 P 1.51
3 O 0.2513 0.0776 0.9129  1 P 1.59
4 O 0.7444 0.9353 0.0880  1 P 1.63
5 O 0.9129 0.2513 0.0776  1 P 1.59
6 O 0.1800 0.3932 0.0005  1 P 1.51
7 O 0.6003 0.0204 0.8106  1 P 1.51
8 O 0.5946 0.4247 0.2523  1 P 1.60
9 O 0.2523 0.5946 0.4247  1 P 1.60
10 O 0.8106 0.6003 0.0204  1 P 1.51
11 O 0.0005 0.1800 0.3932  1 P 1.51
12 O 0.7561 0.4012 0.5657  1 P 1.58
13 O 0.0776 0.9129 0.2513  1 P 1.59
14 O 0.9353 0.0880 0.7444  1 P 1.63
15 O 0.4012 0.5657 0.7561  1 P 1.58
16 O 0.4247 0.2523 0.5946  1 P 1.60
17 O 0.6924 0.4742 0.9058  1 P 1.51
18 O 0.0204 0.8106 0.6003  1 P 1.51
19 O 0.4742 0.9058 0.6924  1 P 1.51
20 O 0.0996 0.3164 0.5149  1 P 1.51
21 O 0.0880 0.7444 0.9353  1 P 1.63
22 O 0.3164 0.5149 0.0996  1 P 1.51
23 O 0.3932 0.0005 0.1800  1 P 1.51
24 O 0.5657 0.7561 0.4012  1 P 1.58
25 Cr 0.1457 0.1457 0.1457  6 O 1.99-2.04
26 P 0.0531 0.7532 0.4471  4 O 1.51-1.60
27 P 0.7532 0.4471 0.0531  4 O 1.51-1.60
28 P 0.5418 0.9563 0.2500  4 O 1.51-1.63
29 P 0.9563 0.2500 0.5418  4 O 1.51-1.63
30 P 0.4471 0.0531 0.7532  4 O 1.51-1.60
31 P 0.2500 0.5418 0.9563  4 O 1.51-1.63
32 Mn 0.6538 0.6538 0.6538  3 O 2.06
33 Mn 0.8450 0.8450 0.8450  3 O 2.00
34 Mn 0.3493 0.3493 0.3493  6 O 2.02-2.20
35 Te 0.4993 0.4993 0.4993  6 O 2.21-2.25
36 Te 0.9927 0.9927 0.9927  3 O 2.14

***

The following DFT formation energy values (in meV per atom) correspond, in order, to the records above: -2198; -2404; -2417; -2339; -2311.